Computed, not measured: a relaxed structure of Li3Ti2P3O12 at the PBE level of DFT.

Cell lengths 8.4977, 8.4977, 22.8952 Å; angles 90.00, 90.00, 120.00 degrees
Space group R-3 (No. 148, hexagonal axes)
One atom of each set of equivalent atoms:
Li 0.0185 0.6395 0.2172
Ti 0.0000 0.0000 0.1517
Ti 0.0000 0.0000 0.3535
P 0.9996 0.2912 0.2503
O 0.0030 0.8052 0.6934
O 0.0505 0.2162 0.5893
O 0.0927 0.2391 0.1999
O 0.0964 0.2332 0.8978

E_tot in eV per atom: -7.3139
Energy above the most stable polymorph in this dataset in meV per atom: 8.9
MP2020-corrected energy in hartree per atom: -0.284
Magnetization in μB per cell: 12.000